Entry from Materials Project: a relaxed structure of Ne (GGA-PBE).

Cell and atoms, written as POSCAR:
```
Ne
1.0
4.304 0.000 0.000
0.000 4.304 0.000
0.000 0.000 4.304
Ne
4
direct
0.000 0.000 0.000 Ne
0.000 0.500 0.500 Ne
0.500 0.000 0.500 Ne
0.500 0.500 0.000 Ne
```

Properties
**ΔE_f**: 0.000 eV per atom
**Crystal system**: cubic

Entry from Materials Project: a relaxed structure of NpNi2 (GGA-PBE).

Cell and atoms, written as POSCAR:
```
NpNi2
1.0
0.000 3.460 3.460
3.460 0.000 3.460
3.460 3.460 0.000
Np Ni
2 4
direct
0.125 0.125 0.125 Np
0.875 0.875 0.875 Np
0.000 0.500 0.500 Ni
0.500 0.000 0.500 Ni
0.500 0.500 0.000 Ni
0.500 0.500 0.500 Ni
```

Properties
**ΔE_f**: 0.015 eV per atom
**Crystal system**: cubic

Entry from Materials Project: a relaxed structure of NpSi2Ni (GGA-PBE).

Cell and atoms, written as POSCAR:
```
NpSi2Ni
1.0
4.004 0.000 0.000
0.000 16.163 0.000
0.000 0.000 4.012
Np Si Ni
4 8 4
direct
0.000 0.104 0.250 Np
0.000 0.896 0.750 Np
0.500 0.396 0.750 Np
0.500 0.604 0.250 Np
0.000 0.249 0.750 Si
0.000 0.460 0.250 Si
0.000 0.540 0.750 Si
0.000 0.751 0.250 Si
0.500 0.040 0.750 Si
0.500 0.251 0.250 Si
0.500 0.749 0.750 Si
0.500 0.960 0.250 Si
0.000 0.320 0.250 Ni
0.000 0.680 0.750 Ni
0.500 0.180 0.750 Ni
0.500 0.820 0.250 Ni
```

Properties
**ΔE_f**: -0.499 eV per atom
**Crystal system**: orthorhombic